DFT (PBE-GGA) results for a geometry-optimized Na2HfNbSi2PO12 structure.

abc: 8.988 8.988 22.877
angles: 90.12 89.88 119.80
Fractional coordinates of all 114 atoms:
Na (0.994, 0.630, 0.251)
Na (0.370, 0.006, 0.751)
Na (0.661, 0.963, 0.584)
Na (0.037, 0.339, 0.084)
Na (0.327, 0.296, 0.917)
Na (0.704, 0.673, 0.417)
Na (0.016, 0.004, 0.499)
Na (0.996, 0.984, 0.999)
Na (0.683, 0.337, 0.832)
Na (0.663, 0.317, 0.332)
Na (0.350, 0.670, 0.165)
Na (0.330, 0.650, 0.665)
Hf (0.998, 0.003, 0.354)
Hf (0.997, 0.002, 0.854)
Hf (0.665, 0.336, 0.687)
Hf (0.664, 0.335, 0.187)
Hf (0.332, 0.670, 0.020)
Hf (0.330, 0.668, 0.520)
Nb (0.001, 0.999, 0.646)
Nb (0.001, 0.999, 0.146)
Nb (0.668, 0.333, 0.980)
Nb (0.667, 0.332, 0.480)
Nb (0.334, 0.666, 0.313)
Nb (0.334, 0.666, 0.813)
Si (0.708, 0.712, 0.251)
Si (0.000, 0.291, 0.250)
Si (0.288, 0.292, 0.751)
Si (0.709, 0.000, 0.750)
Si (0.375, 0.045, 0.584)
Si (0.667, 0.624, 0.583)
Si (0.955, 0.625, 0.084)
Si (0.376, 0.333, 0.083)
Si (0.041, 0.379, 0.918)
Si (0.334, 0.958, 0.916)
Si (0.621, 0.959, 0.418)
Si (0.042, 0.666, 0.416)
P (0.289, 0.000, 0.251)
P (0.000, 0.711, 0.751)
P (0.955, 0.333, 0.584)
P (0.667, 0.045, 0.084)
P (0.622, 0.667, 0.917)
P (0.333, 0.378, 0.417)
O (0.204, 0.023, 0.305)
O (0.827, 0.794, 0.308)
O (0.979, 0.174, 0.306)
O (0.206, 0.173, 0.808)
O (0.977, 0.796, 0.805)
O (0.826, 0.021, 0.806)
O (0.800, 0.972, 0.691)
O (0.163, 0.189, 0.694)
O (0.029, 0.829, 0.696)
O (0.811, 0.837, 0.194)
O (0.028, 0.200, 0.191)
O (0.171, 0.971, 0.196)
O (0.871, 0.357, 0.638)
O (0.494, 0.127, 0.642)
O (0.646, 0.507, 0.639)
O (0.873, 0.506, 0.142)
O (0.643, 0.129, 0.138)
O (0.493, 0.354, 0.139)
O (0.467, 0.306, 0.024)
O (0.830, 0.522, 0.028)
O (0.696, 0.162, 0.029)
O (0.478, 0.170, 0.528)
O (0.694, 0.533, 0.524)
O (0.838, 0.304, 0.529)
O (0.538, 0.690, 0.971)
O (0.161, 0.461, 0.975)
O (0.312, 0.841, 0.972)
O (0.539, 0.839, 0.475)
O (0.310, 0.462, 0.471)
O (0.159, 0.688, 0.472)
O (0.134, 0.639, 0.357)
O (0.496, 0.855, 0.361)
O (0.363, 0.496, 0.363)
O (0.145, 0.504, 0.861)
O (0.361, 0.866, 0.857)
O (0.504, 0.637, 0.863)
O (0.013, 0.830, 0.411)
O (0.808, 0.973, 0.410)
O (0.180, 0.198, 0.410)
O (0.027, 0.192, 0.910)
O (0.170, 0.987, 0.911)
O (0.802, 0.820, 0.910)
O (0.962, 0.163, 0.589)
O (0.185, 0.028, 0.590)
O (0.838, 0.818, 0.590)
O (0.972, 0.815, 0.090)
O (0.837, 0.038, 0.089)
O (0.182, 0.162, 0.090)
O (0.680, 0.163, 0.744)
O (0.475, 0.307, 0.743)
O (0.847, 0.532, 0.743)
O (0.693, 0.525, 0.243)
O (0.837, 0.320, 0.244)
O (0.468, 0.153, 0.243)
O (0.629, 0.496, 0.922)
O (0.852, 0.361, 0.924)
O (0.505, 0.152, 0.923)
O (0.639, 0.148, 0.424)
O (0.504, 0.371, 0.422)
O (0.848, 0.495, 0.423)
O (0.346, 0.497, 0.078)
O (0.141, 0.640, 0.077)
O (0.514, 0.865, 0.076)
O (0.360, 0.859, 0.577)
O (0.503, 0.654, 0.578)
O (0.135, 0.486, 0.576)
O (0.296, 0.830, 0.255)
O (0.518, 0.695, 0.257)
O (0.171, 0.485, 0.257)
O (0.305, 0.482, 0.757)
O (0.170, 0.704, 0.755)
O (0.515, 0.829, 0.757)

## Properties
Formation energy from the elements, eV/atom: -3.11
E, eV for the cell shown: -894.71
Mass density, g/cm3: 3.706